Record 1
A relaxed BaSnH16O11 crystal. Source: the Materials Project database, functional PBE-GGA.

Values from the calculation:
E_form   -1507 meV per atom
Total magnetization   0.08 μB/cell
Symmetry   P2_1/c, No. 14

abc: 10.5390 8.6686 24.0365
angles: 90.00 90.30 90.00
With the nearest neighbours (Å) after each atom.
Fractional positions:
Ba: 0.0316 0.5023 0.2838  9 O 2.82-2.98
Ba: 0.9684 0.0023 0.2162  9 O 2.82-2.98
Ba: 0.9684 0.4977 0.7162  9 O 2.82-2.98
Ba: 0.0316 0.9977 0.7838  9 O 2.82-2.98
Ba: 0.0255 0.7521 0.0360  9 O 2.80-3.02
Ba: 0.9745 0.2521 0.4640  9 O 2.80-3.02
Ba: 0.9745 0.2479 0.9640  9 O 2.80-3.02
Ba: 0.0255 0.7479 0.5360  9 O 2.80-3.02
Sn: 0.9983 0.3751 0.1245  6 O 2.09-2.12
Sn: 0.0017 0.8751 0.3755  6 O 2.09-2.12
Sn: 0.0017 0.6249 0.8755  6 O 2.09-2.12
Sn: 0.9983 0.1249 0.6245  6 O 2.09-2.12
Sn: 0.5016 0.3827 0.1193  6 O 2.10-2.12
Sn: 0.4984 0.8827 0.3807  6 O 2.10-2.12
Sn: 0.4984 0.6173 0.8807  6 O 2.10-2.12
Sn: 0.5016 0.1173 0.6193  6 O 2.10-2.12
H: 0.3963 0.6423 0.1493  1 O 0.98
H: 0.6037 0.1423 0.3507  1 O 0.98
H: 0.6037 0.3577 0.8507  1 O 0.98
H: 0.3963 0.8577 0.6493  1 O 0.98
H: 0.6185 0.5353 0.0439  1 O 0.98
H: 0.3815 0.0353 0.4561  1 O 0.98
H: 0.3815 0.4647 0.9561  1 O 0.98
H: 0.6185 0.9647 0.5439  1 O 0.98
H: 0.6086 0.1237 0.0898  1 O 0.97
H: 0.3914 0.6237 0.4102  1 O 0.97
H: 0.3914 0.8763 0.9102  1 O 0.97
H: 0.6086 0.3763 0.5898  1 O 0.97
H: 0.3581 0.3374 0.0358  1 O 0.99
H: 0.6419 0.8374 0.4642  1 O 0.99
H: 0.6419 0.6626 0.9642  1 O 0.99
H: 0.3581 0.1626 0.5359  1 O 0.99
H: 0.6106 0.3853 0.2142  1 O 0.98
H: 0.3894 0.8853 0.2858  1 O 0.98
H: 0.3894 0.6147 0.7858  1 O 0.98
H: 0.6106 0.1147 0.7142  1 O 0.98
H: 0.3852 0.2215 0.1926  1 O 0.99
H: 0.6148 0.7215 0.3074  1 O 0.99
H: 0.6148 0.7785 0.8074  1 O 0.99
H: 0.3852 0.2785 0.6926  1 O 0.99
H: 0.1843 0.4292 0.0567  1 O 0.99
H: 0.8157 0.9292 0.4433  1 O 0.99
H: 0.8157 0.5708 0.9433  1 O 0.99
H: 0.1843 0.0708 0.5567  1 O 0.99
H: 0.7893 0.2754 0.0767  1 O 0.98
H: 0.2107 0.7754 0.4233  1 O 0.98
H: 0.2107 0.7246 0.9233  1 O 0.98
H: 0.7893 0.2246 0.5767  1 O 0.98
H: 0.1981 0.2015 0.1421  1 O 0.99
H: 0.8019 0.7015 0.3579  1 O 0.99
H: 0.8019 0.7985 0.8579  1 O 0.99
H: 0.1981 0.2985 0.6421  1 O 0.99
H: 0.8145 0.3324 0.1925  1 O 0.99
H: 0.1855 0.8324 0.3075  1 O 0.99
H: 0.1855 0.6676 0.8075  1 O 0.99
H: 0.8145 0.1676 0.6925  1 O 0.99
H: 0.7999 0.5508 0.1042  1 O 0.99
H: 0.2001 0.0508 0.3958  1 O 0.99
H: 0.2001 0.4492 0.8958  1 O 0.99
H: 0.7999 0.9492 0.6042  1 O 0.99
H: 0.2107 0.4737 0.1689  1 O 0.98
H: 0.7893 0.9737 0.3311  1 O 0.98
H: 0.7893 0.5263 0.8311  1 O 0.98
H: 0.2107 0.0263 0.6689  1 O 0.98
H: 0.1301 0.6973 0.1621  1 O 1.01
H: 0.8699 0.1973 0.3379  1 O 1.01
H: 0.8699 0.3027 0.8379  1 O 1.01
H: 0.1301 0.8027 0.6621  1 O 1.01
H: 0.2144 0.8470 0.1492  1 O 0.99
H: 0.7856 0.3470 0.3508  1 O 0.99
H: 0.7856 0.1530 0.8508  1 O 0.99
H: 0.2144 0.6530 0.6492  1 O 0.99
H: 0.1311 0.5550 0.4087  1 O 1.01
H: 0.8689 0.0550 0.0913  1 O 1.01
H: 0.8689 0.4450 0.5913  1 O 1.01
H: 0.1311 0.9450 0.9087  1 O 1.01
H: 0.2202 0.4115 0.3940  1 O 0.99
H: 0.7798 0.9115 0.1060  1 O 0.99
H: 0.7798 0.5885 0.6060  1 O 0.99
H: 0.2202 0.0885 0.8940  1 O 0.99
H: 0.2152 0.0663 0.0265  1 O 0.99
H: 0.7848 0.5663 0.4735  1 O 0.99
H: 0.7848 0.9337 0.9735  1 O 0.99
H: 0.2152 0.4337 0.5265  1 O 0.99
H: 0.1152 0.0972 0.0735  1 O 1.01
H: 0.8848 0.5972 0.4265  1 O 1.01
H: 0.8848 0.9028 0.9265  1 O 1.01
H: 0.1152 0.4028 0.5735  1 O 1.01
H: 0.1244 0.1529 0.3226  1 O 1.01
H: 0.8756 0.6529 0.1774  1 O 1.01
H: 0.8756 0.8471 0.6774  1 O 1.01
H: 0.1244 0.3471 0.8226  1 O 1.01
H: 0.2249 0.1983 0.2772  1 O 0.99
H: 0.7751 0.6983 0.2228  1 O 0.99
H: 0.7751 0.8017 0.7228  1 O 0.99
H: 0.2249 0.3017 0.7772  1 O 0.99
H: 0.3364 0.6432 0.2938  1 O 1.00
H: 0.6636 0.1432 0.2062  1 O 1.00
H: 0.6636 0.3568 0.7062  1 O 1.00
H: 0.3364 0.8568 0.7938  1 O 1.00
H: 0.3469 0.5522 0.2376  1 O 0.99
H: 0.6531 0.0522 0.2624  1 O 0.99
H: 0.6531 0.4478 0.7624  1 O 0.99
H: 0.3469 0.9478 0.7376  1 O 0.99
H: 0.3391 0.7614 0.9983  1 O 0.99
H: 0.6609 0.2614 0.5017  1 O 0.99
H: 0.6609 0.2386 0.0017  1 O 0.99
H: 0.3391 0.7386 0.4983  1 O 0.99
H: 0.3272 0.6239 0.0406  1 O 1.00
H: 0.6728 0.1239 0.4594  1 O 1.00
H: 0.6728 0.3761 0.9594  1 O 1.00
H: 0.3272 0.8761 0.5406  1 O 1.00
H: 0.3491 0.8958 0.0900  1 O 0.99
H: 0.6509 0.3958 0.4100  1 O 0.99
H: 0.6509 0.1042 0.9100  1 O 0.99
H: 0.3491 0.6042 0.5900  1 O 0.99
H: 0.3738 0.0340 0.1344  1 O 1.01
H: 0.6262 0.5340 0.3656  1 O 1.01
H: 0.6262 0.9660 0.8656  1 O 1.01
H: 0.3738 0.4660 0.6344  1 O 1.01
H: 0.5371 0.8708 0.1149  1 O 0.99
H: 0.4629 0.3708 0.3851  1 O 0.99
H: 0.4629 0.1292 0.8851  1 O 0.99
H: 0.5371 0.6292 0.6149  1 O 0.99
H: 0.6214 0.7257 0.0960  1 O 1.02
H: 0.3786 0.2257 0.4040  1 O 1.02
H: 0.3786 0.2743 0.9040  1 O 1.02
H: 0.6214 0.7743 0.5960  1 O 1.02
H: 0.6164 0.8405 0.2163  1 O 0.99
H: 0.3836 0.3405 0.2837  1 O 0.99
H: 0.3836 0.1595 0.7837  1 O 0.99
H: 0.6164 0.6595 0.7163  1 O 0.99
H: 0.5481 0.6756 0.2072  1 O 1.00
H: 0.4519 0.1756 0.2928  1 O 1.00
H: 0.4519 0.3244 0.7928  1 O 1.00
H: 0.5481 0.8244 0.7072  1 O 1.00
H: 0.3829 0.3787 0.4714  1 O 1.00
H: 0.6171 0.8787 0.0286  1 O 1.00
H: 0.6171 0.6213 0.5286  1 O 1.00
H: 0.3829 0.1213 0.9714  1 O 1.00
H: 0.4516 0.3673 0.5312  1 O 1.00
H: 0.5484 0.8673 0.9688  1 O 1.00
H: 0.5484 0.6327 0.4688  1 O 1.00
H: 0.4516 0.1327 0.0312  1 O 1.00
O: 0.4321 0.5596 0.1722  1 H 0.98
O: 0.5679 0.0596 0.3278  1 H 0.98
O: 0.5679 0.4404 0.8278  1 H 0.98
O: 0.4321 0.9404 0.6722  1 H 0.98
O: 0.6304 0.5412 0.0843  1 H 0.98
O: 0.3696 0.0412 0.4157  1 H 0.98
O: 0.3696 0.4588 0.9157  1 H 0.98
O: 0.6304 0.9588 0.5843  1 H 0.98
O: 0.5806 0.2107 0.0673  1 H 0.97
O: 0.4194 0.7107 0.4327  1 H 0.97
O: 0.4194 0.7893 0.9327  1 H 0.97
O: 0.5806 0.2893 0.5673  1 H 0.97
O: 0.3723 0.4361 0.0554  1 H 0.99
O: 0.6277 0.9361 0.4446  1 H 0.99
O: 0.6277 0.5639 0.9446  1 H 0.99
O: 0.3723 0.0639 0.5554  1 H 0.99
O: 0.6354 0.3279 0.1810  1 H 0.98
O: 0.3646 0.8279 0.3190  1 H 0.98
O: 0.3646 0.6721 0.8190  1 H 0.98
O: 0.6354 0.1721 0.6810  1 H 0.98
O: 0.3724 0.2221 0.1519  1 H 0.99
O: 0.6276 0.7221 0.3481  1 H 0.99
O: 0.6276 0.7779 0.8481  1 H 0.99
O: 0.3724 0.2779 0.6519  1 H 0.99
O: 0.0918 0.4365 0.0508  1 H 0.99
O: 0.9082 0.9365 0.4492  1 H 0.99
O: 0.9082 0.5635 0.9492  1 H 0.99
O: 0.0918 0.0635 0.5508  1 H 0.99
O: 0.8772 0.2395 0.0744  1 H 0.98
O: 0.1228 0.7395 0.4256  1 H 0.98
O: 0.1228 0.7605 0.9256  1 H 0.98
O: 0.8772 0.2605 0.5744  1 H 0.98
O: 0.1075 0.1760 0.1354  1 H 0.99
O: 0.8925 0.6760 0.3646  1 H 0.99
O: 0.8925 0.8240 0.8646  1 H 0.99
O: 0.1075 0.3240 0.6354  1 H 0.99
O: 0.9066 0.3169 0.1985  1 H 0.99
O: 0.0934 0.8169 0.3015  1 H 0.99
O: 0.0934 0.6831 0.8015  1 H 0.99
O: 0.9066 0.1831 0.6985  1 H 0.99
O: 0.8893 0.5748 0.1144  1 H 0.99
O: 0.1107 0.0748 0.3856  1 H 0.99
O: 0.1107 0.4252 0.8856  1 H 0.99
O: 0.8893 0.9252 0.6144  1 H 0.99
O: 0.1234 0.5101 0.1735  1 H 0.98
O: 0.8766 0.0101 0.3265  1 H 0.98
O: 0.8766 0.4899 0.8265  1 H 0.98
O: 0.1234 0.9899 0.6735  1 H 0.98
O: 0.1260 0.8101 0.1519  2 H 0.99-1.01
O: 0.8740 0.3101 0.3481  2 H 0.99-1.01
O: 0.8740 0.1899 0.8481  2 H 0.99-1.01
O: 0.1260 0.6899 0.6519  2 H 0.99-1.01
O: 0.1306 0.4449 0.3949  2 H 0.99-1.01
O: 0.8694 0.9449 0.1051  2 H 0.99-1.01
O: 0.8694 0.5551 0.6051  2 H 0.99-1.01
O: 0.1306 0.0551 0.8949  2 H 0.99-1.01
O: 0.1238 0.0520 0.0348  2 H 0.99-1.01
O: 0.8762 0.5520 0.4652  2 H 0.99-1.01
O: 0.8762 0.9480 0.9652  2 H 0.99-1.01
O: 0.1238 0.4480 0.5348  2 H 0.99-1.01
O: 0.1321 0.1956 0.2835  2 H 0.99-1.01
O: 0.8679 0.6956 0.2165  2 H 0.99-1.01
O: 0.8679 0.8044 0.7165  2 H 0.99-1.01
O: 0.1321 0.3044 0.7835  2 H 0.99-1.01
O: 0.3113 0.5436 0.2757  2 H 0.99-1.00
O: 0.6887 0.0436 0.2243  2 H 0.99-1.00
O: 0.6887 0.4564 0.7243  2 H 0.99-1.00
O: 0.3113 0.9564 0.7757  2 H 0.99-1.00
O: 0.2991 0.7325 0.0342  2 H 0.99-1.00
O: 0.7009 0.2325 0.4658  2 H 0.99-1.00
O: 0.7009 0.2675 0.9658  2 H 0.99-1.00
O: 0.2991 0.7675 0.5342  2 H 0.99-1.00
O: 0.3751 0.9181 0.1288  2 H 0.99-1.01
O: 0.6249 0.4181 0.3712  2 H 0.99-1.01
O: 0.6249 0.0819 0.8712  2 H 0.99-1.01
O: 0.3751 0.5819 0.6288  2 H 0.99-1.01
O: 0.6203 0.8429 0.0985  2 H 0.99-1.02
O: 0.3797 0.3429 0.4015  2 H 0.99-1.02
O: 0.3797 0.1571 0.9015  2 H 0.99-1.02
O: 0.6203 0.6571 0.5985  2 H 0.99-1.02
O: 0.6101 0.7339 0.2307  2 H 0.99-1.00
O: 0.3899 0.2339 0.2693  2 H 0.99-1.00
O: 0.3899 0.2661 0.7693  2 H 0.99-1.00
O: 0.6101 0.7661 0.7307  2 H 0.99-1.00
O: 0.3680 0.3829 0.5124  2 H 1.00
O: 0.6320 0.8829 0.9876  2 H 1.00
O: 0.6320 0.6171 0.4876  2 H 1.00
O: 0.3680 0.1171 0.0124  2 H 1.00

Record 2
A relaxed Ba2TlH7O7 crystal. Source: the Materials Project database, functional PBE-GGA.

Values from the calculation:
E_form   -1724 meV per atom
Total magnetization   0.00 μB/cell
Symmetry   C2/c, No. 15

abc: 6.8732 6.8732 10.6596
angles: 82.39 82.39 57.56
With the nearest neighbours (Å) after each atom.
Fractional positions:
Ba: 0.5686 0.1924 0.1289  7 O 2.69-2.99, 1 H 2.87
Ba: 0.1924 0.5686 0.6289  7 O 2.69-2.99, 1 H 2.87
Ba: 0.8076 0.4314 0.3711  7 O 2.69-2.99, 1 H 2.87
Ba: 0.4314 0.8076 0.8711  7 O 2.69-2.99, 1 H 2.87
Tl: 0.0000 0.5000 0.0000  6 O 2.21-2.40
Tl: 0.5000 0.0000 0.5000  6 O 2.21-2.40
H: 0.9076 0.8790 0.3819  1 O 1.00
H: 0.3144 0.4292 0.3517  1 O 0.98
H: 0.0319 0.6820 0.2048  1 O 0.98
H: 0.8790 0.9076 0.8819  1 O 1.00
H: 0.4292 0.3144 0.8517  1 O 0.98
H: 0.6820 0.0319 0.7048  1 O 0.98
H: 0.3180 0.9681 0.2952  1 O 0.98
H: 0.5708 0.6856 0.1483  1 O 0.98
H: 0.1210 0.0924 0.1181  1 O 1.00
H: 0.9681 0.3180 0.7952  1 O 0.98
H: 0.6856 0.5708 0.6483  1 O 0.98
H: 0.0924 0.1210 0.6181  1 O 1.00
H: 0.1299 0.8701 0.2500  1 O 0.97
H: 0.8701 0.1299 0.7500  1 O 0.97
O: 0.4553 0.3526 0.3978  1 H 0.98
O: 0.8770 0.7878 0.4546  1 H 1.00
O: 0.3526 0.4553 0.8978  1 H 0.98
O: 0.1021 0.5166 0.1974  1 H 0.98
O: 0.7878 0.8770 0.9546  1 H 1.00
O: 0.5166 0.1021 0.6974  1 H 0.98
O: 0.4834 0.8979 0.3026  1 H 0.98
O: 0.2122 0.1230 0.0454  1 H 1.00
O: 0.8979 0.4834 0.8026  1 H 0.98
O: 0.6474 0.5447 0.1022  1 H 0.98
O: 0.1230 0.2122 0.5454  1 H 1.00
O: 0.5447 0.6474 0.6022  1 H 0.98
O: 0.9832 0.0168 0.2500  1 H 0.97
O: 0.0168 0.9832 0.7500  1 H 0.97